Material: Na2Al2SiS2O12
Method: DFT, GGA-PBE
State: optimized geometry

Cell and atoms, written as CIF:
```
data_Na2Al2SiS2O12
_chemical_formula_sum 'Na12 Al12 Si6 S12 O72'
_space_group_name_H-M_alt 'P 1'
_space_group_IT_number 1
_cell_length_a 8.521
_cell_length_b 8.521
_cell_length_c 21.748
_cell_angle_alpha 90.01
_cell_angle_beta 90.01
_cell_angle_gamma 60.17
loop_
_space_group_symop_operation_xyz
'x,y,z'
loop_
_atom_site_label
_atom_site_type_symbol
_atom_site_fract_x
_atom_site_fract_y
_atom_site_fract_z
Na1 Na 0.000 0.000 0.000
Na2 Na 0.000 0.000 0.500
Na3 Na 0.008 0.357 0.754
Na4 Na 0.305 0.672 0.421
Na5 Na 0.327 0.328 0.834
Na6 Na 0.328 0.327 0.334
Na7 Na 0.334 0.961 0.583
Na8 Na 0.357 0.008 0.254
Na9 Na 0.654 0.672 0.667
Na10 Na 0.672 0.305 0.921
Na11 Na 0.672 0.654 0.167
Na12 Na 0.961 0.334 0.083
Al1 Al 0.012 0.015 0.352
Al2 Al 0.015 0.012 0.852
Al3 Al 0.022 0.979 0.647
Al4 Al 0.330 0.333 0.981
Al5 Al 0.331 0.344 0.186
Al6 Al 0.333 0.330 0.481
Al7 Al 0.344 0.331 0.686
Al8 Al 0.652 0.668 0.519
Al9 Al 0.666 0.675 0.815
Al10 Al 0.668 0.652 0.019
Al11 Al 0.675 0.666 0.315
Al12 Al 0.979 0.022 0.147
Si1 Si 0.302 0.996 0.749
Si2 Si 0.335 0.615 0.583
Si3 Si 0.380 0.964 0.415
Si4 Si 0.615 0.335 0.083
Si5 Si 0.964 0.380 0.915
Si6 Si 0.996 0.302 0.249
S1 S 0.001 0.718 0.751
S2 S 0.039 0.342 0.583
S3 S 0.046 0.629 0.083
S4 S 0.285 0.712 0.249
S5 S 0.342 0.039 0.083
S6 S 0.376 0.672 0.916
S7 S 0.629 0.046 0.583
S8 S 0.669 0.951 0.917
S9 S 0.672 0.376 0.416
S10 S 0.712 0.285 0.749
S11 S 0.718 0.001 0.251
S12 S 0.951 0.669 0.417
O1 O 0.016 0.179 0.589
O2 O 0.027 0.802 0.806
O3 O 0.033 0.807 0.093
O4 O 0.045 0.164 0.307
O5 O 0.119 0.369 0.640
O6 O 0.121 0.509 0.138
O7 O 0.137 0.509 0.422
O8 O 0.156 0.822 0.588
O9 O 0.157 0.547 0.028
O10 O 0.162 0.297 0.529
O11 O 0.162 0.535 0.744
O12 O 0.163 0.356 0.926
O13 O 0.164 0.045 0.807
O14 O 0.176 0.789 0.306
O15 O 0.179 0.016 0.089
O16 O 0.182 0.971 0.410
O17 O 0.185 0.311 0.239
O18 O 0.192 0.830 0.909
O19 O 0.201 0.829 0.195
O20 O 0.206 0.971 0.687
O21 O 0.297 0.162 0.029
O22 O 0.305 0.528 0.520
O23 O 0.306 0.530 0.244
O24 O 0.311 0.185 0.739
O25 O 0.356 0.163 0.426
O26 O 0.362 0.506 0.923
O27 O 0.366 0.491 0.642
O28 O 0.369 0.119 0.140
O29 O 0.453 0.708 0.972
O30 O 0.466 0.697 0.255
O31 O 0.468 0.832 0.475
O32 O 0.491 0.366 0.142
O33 O 0.493 0.635 0.862
O34 O 0.498 0.818 0.760
O35 O 0.502 0.865 0.354
O36 O 0.505 0.862 0.074
O37 O 0.506 0.362 0.423
O38 O 0.509 0.121 0.638
O39 O 0.509 0.137 0.922
O40 O 0.513 0.645 0.577
O41 O 0.528 0.305 0.020
O42 O 0.530 0.306 0.744
O43 O 0.535 0.162 0.244
O44 O 0.547 0.157 0.528
O45 O 0.635 0.493 0.362
O46 O 0.636 0.873 0.861
O47 O 0.645 0.513 0.077
O48 O 0.651 0.862 0.576
O49 O 0.693 0.840 0.255
O50 O 0.695 0.843 0.973
O51 O 0.697 0.466 0.755
O52 O 0.708 0.453 0.472
O53 O 0.789 0.176 0.806
O54 O 0.802 0.027 0.306
O55 O 0.807 0.033 0.593
O56 O 0.818 0.498 0.260
O57 O 0.822 0.156 0.088
O58 O 0.829 0.201 0.695
O59 O 0.830 0.192 0.409
O60 O 0.830 0.966 0.195
O61 O 0.832 0.468 0.975
O62 O 0.833 0.971 0.909
O63 O 0.840 0.693 0.755
O64 O 0.843 0.695 0.473
O65 O 0.862 0.505 0.574
O66 O 0.862 0.651 0.076
O67 O 0.865 0.502 0.854
O68 O 0.873 0.636 0.361
O69 O 0.966 0.830 0.695
O70 O 0.971 0.182 0.910
O71 O 0.971 0.206 0.187
O72 O 0.971 0.833 0.409
```

Energy = -739.7 eV for the cell shown

***

Material: Na4Al3Si3SO16
Method: DFT, GGA-PBE
State: optimized geometry

Cell and atoms, written as CIF:
```
data_Na4Al3Si3SO16
_chemical_formula_sum 'Na8 Al6 Si6 S2 O32'
_space_group_name_H-M_alt 'P 1'
_space_group_IT_number 1
_cell_length_a 9.215
_cell_length_b 9.215
_cell_length_c 9.215
_cell_angle_alpha 90.00
_cell_angle_beta 90.00
_cell_angle_gamma 90.00
loop_
_space_group_symop_operation_xyz
'x,y,z'
loop_
_atom_site_label
_atom_site_type_symbol
_atom_site_fract_x
_atom_site_fract_y
_atom_site_fract_z
Na1 Na 0.227 0.227 0.773
Na2 Na 0.227 0.773 0.227
Na3 Na 0.273 0.273 0.273
Na4 Na 0.273 0.727 0.727
Na5 Na 0.727 0.273 0.727
Na6 Na 0.727 0.727 0.273
Na7 Na 0.773 0.227 0.227
Na8 Na 0.773 0.773 0.773
Al1 Al 0.000 0.250 0.500
Al2 Al 0.000 0.750 0.500
Al3 Al 0.250 0.500 0.000
Al4 Al 0.500 0.000 0.250
Al5 Al 0.500 0.000 0.750
Al6 Al 0.750 0.500 0.000
Si1 Si 0.000 0.500 0.250
Si2 Si 0.000 0.500 0.750
Si3 Si 0.250 0.000 0.500
Si4 Si 0.500 0.250 0.000
Si5 Si 0.500 0.750 0.000
Si6 Si 0.750 0.000 0.500
S1 S 0.000 0.000 0.000
S2 S 0.500 0.500 0.500
O1 O 0.034 0.355 0.346
O2 O 0.034 0.645 0.654
O3 O 0.093 0.093 0.093
O4 O 0.093 0.907 0.907
O5 O 0.145 0.466 0.846
O6 O 0.145 0.534 0.154
O7 O 0.154 0.145 0.534
O8 O 0.154 0.855 0.466
O9 O 0.346 0.034 0.355
O10 O 0.346 0.966 0.645
O11 O 0.355 0.346 0.034
O12 O 0.355 0.654 0.966
O13 O 0.407 0.407 0.593
O14 O 0.407 0.593 0.407
O15 O 0.466 0.154 0.855
O16 O 0.466 0.846 0.145
O17 O 0.534 0.154 0.145
O18 O 0.534 0.846 0.855
O19 O 0.593 0.407 0.407
O20 O 0.593 0.593 0.593
O21 O 0.645 0.346 0.966
O22 O 0.645 0.654 0.034
O23 O 0.654 0.034 0.645
O24 O 0.654 0.966 0.355
O25 O 0.846 0.145 0.466
O26 O 0.846 0.855 0.534
O27 O 0.855 0.466 0.154
O28 O 0.855 0.534 0.846
O29 O 0.907 0.093 0.907
O30 O 0.907 0.907 0.093
O31 O 0.966 0.355 0.654
O32 O 0.966 0.645 0.346
```

Energy = -364.4 eV for the cell shown

***

Material: Na2Al8SiS11O48
Method: DFT, GGA-PBE
State: optimized geometry

Cell and atoms, written as CIF:
```
data_Na2Al8SiS11O48
_chemical_formula_sum 'Na6 Al24 Si3 S33 O144'
_space_group_name_H-M_alt 'P 1'
_space_group_IT_number 1
_cell_length_a 8.302
_cell_length_b 14.381
_cell_length_c 21.653
_cell_angle_alpha 90.03
_cell_angle_beta 90.00
_cell_angle_gamma 90.06
loop_
_space_group_symop_operation_xyz
'x,y,z'
loop_
_atom_site_label
_atom_site_type_symbol
_atom_site_fract_x
_atom_site_fract_y
_atom_site_fract_z
Na1 Na 0.000 0.000 0.000
Na2 Na 0.002 0.663 0.834
Na3 Na 0.485 0.163 0.331
Na4 Na 0.490 0.499 0.995
Na5 Na 0.493 0.494 0.496
Na6 Na 0.997 0.001 0.494
Al1 Al 0.001 0.324 0.308
Al2 Al 0.003 0.663 0.976
Al3 Al 0.484 0.160 0.978
Al4 Al 0.486 0.164 0.475
Al5 Al 0.487 0.827 0.812
Al6 Al 0.488 0.162 0.179
Al7 Al 0.489 0.825 0.017
Al8 Al 0.491 0.498 0.853
Al9 Al 0.492 0.830 0.517
Al10 Al 0.493 0.495 0.347
Al11 Al 0.495 0.162 0.686
Al12 Al 0.495 0.494 0.646
Al13 Al 0.495 0.495 0.144
Al14 Al 0.495 0.829 0.306
Al15 Al 0.992 0.997 0.646
Al16 Al 0.993 0.662 0.683
Al17 Al 0.993 0.663 0.184
Al18 Al 0.994 0.328 0.811
Al19 Al 0.994 0.996 0.851
Al20 Al 0.995 0.661 0.474
Al21 Al 0.997 0.000 0.141
Al22 Al 0.997 0.001 0.349
Al23 Al 0.997 0.323 0.516
Al24 Al 0.999 0.325 0.021
Si1 Si 0.138 0.184 0.413
Si2 Si 0.204 0.162 0.080
Si3 Si 0.349 0.685 0.914
S1 S 0.137 0.474 0.413
S2 S 0.137 0.519 0.081
S3 S 0.138 0.806 0.081
S4 S 0.139 0.141 0.747
S5 S 0.139 0.852 0.746
S6 S 0.204 0.494 0.747
S7 S 0.206 0.827 0.413
S8 S 0.282 0.327 0.913
S9 S 0.283 0.663 0.580
S10 S 0.284 0.995 0.247
S11 S 0.349 0.307 0.581
S12 S 0.349 0.351 0.246
S13 S 0.349 0.640 0.247
S14 S 0.350 0.017 0.581
S15 S 0.351 0.975 0.913
S16 S 0.636 0.016 0.079
S17 S 0.638 0.641 0.746
S18 S 0.638 0.685 0.413
S19 S 0.638 0.971 0.413
S20 S 0.639 0.307 0.080
S21 S 0.639 0.351 0.748
S22 S 0.703 0.995 0.747
S23 S 0.707 0.331 0.413
S24 S 0.707 0.663 0.080
S25 S 0.780 0.163 0.580
S26 S 0.781 0.830 0.914
S27 S 0.785 0.495 0.247
S28 S 0.846 0.141 0.246
S29 S 0.846 0.185 0.913
S30 S 0.849 0.806 0.580
S31 S 0.851 0.471 0.914
S32 S 0.851 0.517 0.580
S33 S 0.852 0.852 0.247
O1 O 0.056 0.227 0.475
O2 O 0.058 0.081 0.406
O3 O 0.059 0.766 0.026
O4 O 0.059 0.896 0.089
O5 O 0.060 0.892 0.801
O6 O 0.062 0.099 0.691
O7 O 0.062 0.428 0.072
O8 O 0.062 0.436 0.358
O9 O 0.063 0.758 0.738
O10 O 0.065 0.233 0.756
O11 O 0.065 0.560 0.137
O12 O 0.066 0.567 0.423
O13 O 0.092 0.070 0.088
O14 O 0.094 0.252 0.071
O15 O 0.101 0.412 0.755
O16 O 0.102 0.579 0.738
O17 O 0.102 0.908 0.406
O18 O 0.106 0.744 0.423
O19 O 0.110 0.909 0.690
O20 O 0.113 0.248 0.353
O21 O 0.114 0.747 0.136
O22 O 0.115 0.081 0.802
O23 O 0.115 0.418 0.470
O24 O 0.116 0.577 0.026
O25 O 0.155 0.673 0.921
O26 O 0.172 0.007 0.589
O27 O 0.172 0.983 0.904
O28 O 0.174 0.346 0.253
O29 O 0.174 0.649 0.238
O30 O 0.175 0.319 0.574
O31 O 0.182 0.312 0.857
O32 O 0.182 0.349 0.967
O33 O 0.183 0.644 0.525
O34 O 0.183 0.679 0.636
O35 O 0.185 0.012 0.303
O36 O 0.185 0.976 0.192
O37 O 0.302 0.479 0.690
O38 O 0.304 0.513 0.801
O39 O 0.305 0.845 0.469
O40 O 0.307 0.810 0.359
O41 O 0.311 0.141 0.019
O42 O 0.312 0.181 0.141
O43 O 0.312 0.817 0.074
O44 O 0.314 0.149 0.737
O45 O 0.314 0.845 0.752
O46 O 0.315 0.509 0.089
O47 O 0.316 0.484 0.406
O48 O 0.332 0.173 0.421
O49 O 0.371 0.917 0.969
O50 O 0.372 0.582 0.302
O51 O 0.372 0.746 0.852
O52 O 0.373 0.075 0.526
O53 O 0.375 0.249 0.636
O54 O 0.377 0.410 0.192
O55 O 0.384 0.745 0.571
O56 O 0.385 0.579 0.588
O57 O 0.385 0.911 0.256
O58 O 0.386 0.246 0.920
O59 O 0.386 0.410 0.904
O60 O 0.390 0.077 0.241
O61 O 0.422 0.925 0.572
O62 O 0.423 0.058 0.636
O63 O 0.423 0.732 0.256
O64 O 0.424 0.393 0.303
O65 O 0.424 0.934 0.857
O66 O 0.426 0.401 0.589
O67 O 0.427 0.066 0.919
O68 O 0.427 0.599 0.192
O69 O 0.428 0.260 0.242
O70 O 0.429 0.268 0.526
O71 O 0.430 0.583 0.906
O72 O 0.433 0.729 0.974
O73 O 0.560 0.394 0.802
O74 O 0.560 0.924 0.070
O75 O 0.560 0.931 0.358
O76 O 0.561 0.401 0.088
O77 O 0.562 0.725 0.469
O78 O 0.563 0.268 0.024
O79 O 0.564 0.259 0.738
O80 O 0.564 0.591 0.406
O81 O 0.564 0.599 0.690
O82 O 0.566 0.057 0.136
O83 O 0.569 0.064 0.422
O84 O 0.569 0.734 0.753
O85 O 0.600 0.414 0.406
O86 O 0.603 0.912 0.756
O87 O 0.604 0.078 0.738
O88 O 0.604 0.579 0.088
O89 O 0.608 0.246 0.422
O90 O 0.609 0.747 0.074
O91 O 0.613 0.743 0.358
O92 O 0.613 0.914 0.470
O93 O 0.616 0.410 0.691
O94 O 0.619 0.251 0.136
O95 O 0.619 0.580 0.800
O96 O 0.621 0.075 0.024
O97 O 0.668 0.150 0.238
O98 O 0.672 0.174 0.922
O99 O 0.673 0.509 0.588
O100 O 0.674 0.816 0.571
O101 O 0.675 0.477 0.905
O102 O 0.676 0.842 0.256
O103 O 0.680 0.177 0.636
O104 O 0.681 0.144 0.525
O105 O 0.683 0.478 0.192
O106 O 0.683 0.514 0.302
O107 O 0.687 0.815 0.857
O108 O 0.687 0.850 0.969
O109 O 0.801 0.315 0.357
O110 O 0.801 0.351 0.470
O111 O 0.804 0.978 0.691
O112 O 0.806 0.014 0.802
O113 O 0.806 0.677 0.136
O114 O 0.807 0.644 0.025
O115 O 0.811 0.004 0.088
O116 O 0.811 0.321 0.071
O117 O 0.813 0.676 0.423
O118 O 0.813 0.977 0.406
O119 O 0.814 0.342 0.756
O120 O 0.817 0.649 0.738
O121 O 0.867 0.082 0.302
O122 O 0.872 0.241 0.857
O123 O 0.872 0.577 0.525
O124 O 0.874 0.749 0.635
O125 O 0.874 0.911 0.192
O126 O 0.876 0.413 0.969
O127 O 0.879 0.247 0.574
O128 O 0.880 0.746 0.921
O129 O 0.884 0.079 0.588
O130 O 0.884 0.412 0.257
O131 O 0.884 0.579 0.238
O132 O 0.887 0.913 0.905
O133 O 0.917 0.233 0.254
O134 O 0.919 0.565 0.921
O135 O 0.922 0.098 0.192
O136 O 0.923 0.092 0.904
O137 O 0.923 0.425 0.571
O138 O 0.923 0.759 0.238
O139 O 0.923 0.900 0.588
O140 O 0.924 0.226 0.967
O141 O 0.924 0.559 0.635
O142 O 0.926 0.432 0.857
O143 O 0.926 0.765 0.524
O144 O 0.926 0.893 0.303
```

Energy = -1364.8 eV for the cell shown

***

Which of these has the highest energy?
Na4Al3Si3SO16